No. 1
This record from the Materials Project database describes crystalline CaNi2O4 at its relaxed geometry. The functional is PBE+U.

Calculated values
Volume: 324 Å³ per cell
Uncorrected energy: -5.3089 eV per atom
Distance to the lowest polymorph of the same formula: 0 meV/atom
Formation energy: -1.662 eV/atom

Geometry as POSCAR:
```
CaNi2O4
1.0
5.1426 0.0000 0.0000
-0.0124 5.7209 0.0000
-0.0204 -0.4893 11.0097
Ca Ni O
4 8 16
Cartesian
0.0000 0.0000 0.0000 Ca
0.4563 2.5737 5.5048 Ca
1.9667 2.3676 11.0084 Ca
3.6056 5.4364 5.5050 Ca
0.1832 2.4646 8.3344 Ni
0.1973 2.7272 2.6721 Ni
0.2482 5.5678 2.8317 Ni
0.2397 5.3401 8.1814 Ni
2.8006 1.2870 2.7525 Ni
2.7889 1.0412 8.2587 Ni
2.7938 4.1466 2.7520 Ni
2.7825 3.9035 8.2581 Ni
0.9632 3.7882 9.4148 O
0.9927 1.4132 1.5861 O
0.9856 0.8986 9.3957 O
1.0015 4.2957 1.6096 O
1.9046 2.4659 7.3325 O
1.9129 2.7251 3.6728 O
2.0052 -0.1287 3.7463 O
1.9930 5.3230 7.2587 O
3.5770 2.4832 9.2570 O
3.5943 2.7022 1.7581 O
3.6684 -0.3818 9.1890 O
3.6748 5.5697 1.8325 O
4.5868 3.9982 3.8936 O
4.5949 1.1788 7.1228 O
4.6079 1.1614 3.9177 O
4.6012 4.0235 7.0965 O
```

---

No. 2
This record from the Materials Project database describes crystalline Ca2Ni9O13 at its relaxed geometry. The functional is PBE+U.

Calculated values
Volume: 242 Å³ per cell
Uncorrected energy: -5.1150 eV per atom
Formation energy: -1.425 eV/atom

Geometry as POSCAR:
```
Ca2Ni9O13
1.0
4.9238 -1.5066 0.0000
4.9238 1.5066 0.0000
-2.6247 0.0000 16.3430
Ca Ni O
2 9 13
Cartesian
1.5279 0.0000 3.7696 Ca
5.6950 0.0000 12.5733 Ca
-1.7178 0.0000 10.7936 Ni
-1.7285 0.0000 14.3797 Ni
0.9177 0.0000 9.4513 Ni
0.9476 0.0000 15.7156 Ni
3.6115 0.0000 8.1715 Ni
6.2753 0.0000 0.6274 Ni
6.3052 0.0000 6.8916 Ni
8.9514 0.0000 1.9633 Ni
8.9407 0.0000 5.5493 Ni
0.0000 0.0000 0.0000 O
-0.9410 0.0000 12.5974 O
0.0641 0.0000 7.6084 O
2.7079 0.0000 1.1423 O
1.8955 0.0000 11.1051 O
2.7298 0.0000 6.3284 O
1.8750 0.0000 14.0545 O
5.3480 0.0000 2.2885 O
4.4932 0.0000 10.0145 O
5.3275 0.0000 5.2378 O
4.5150 0.0000 15.2007 O
7.1588 0.0000 8.7345 O
8.1640 0.0000 3.7456 O
```

---

No. 3
This record from the Materials Project database describes crystalline CaNi2O4 at its relaxed geometry. The functional is PBE+U.

Calculated values
Volume: 166 Å³ per cell
Uncorrected energy: -5.2268 eV per atom
Distance to the lowest polymorph of the same formula: 82 meV/atom
Formation energy: -1.580 eV/atom

Geometry as POSCAR:
```
CaNi2O4
1.0
0.0000 4.3638 4.3638
4.3638 0.0000 4.3638
4.3638 4.3638 0.0000
Ca Ni O
2 4 8
Cartesian
1.0909 1.0909 1.0909 Ca
7.6366 7.6366 7.6366 Ca
4.3638 2.1819 2.1819 Ni
2.1819 4.3638 2.1819 Ni
2.1819 2.1819 4.3638 Ni
4.3638 4.3638 4.3638 Ni
2.3539 2.3539 2.3539 O
4.1918 4.1918 2.3539 O
4.1918 2.3539 4.1918 O
6.3737 4.5358 4.5358 O
2.3539 4.1918 4.1918 O
4.5358 6.3737 4.5358 O
4.5358 4.5358 6.3737 O
6.3737 6.3737 6.3737 O
```

---

No. 4
This record from the Materials Project database describes crystalline CaNi2O4 at its relaxed geometry. The functional is PBE+U.

Calculated values
Volume: 649 Å³ per cell
Uncorrected energy: -5.1390 eV per atom
Distance to the lowest polymorph of the same formula: 170 meV/atom
Formation energy: -1.492 eV/atom

Geometry as POSCAR:
```
CaNi2O4
1.0
5.3623 -3.0714 0.0000
5.3623 3.0714 0.0000
-4.4846 0.0000 19.7113
Ca Ni O
8 16 32
Cartesian
0.0000 0.0000 0.0000 Ca
-2.5028 0.0000 11.8521 Ca
-2.6153 0.0000 17.2087 Ca
-0.6205 0.0000 14.7922 Ca
1.3416 0.0000 6.7296 Ca
3.1422 0.0000 9.8700 Ca
6.8776 0.0000 4.9427 Ca
8.8488 0.0000 2.5444 Ca
2.6797 1.5262 0.0215 Ni
0.4308 1.5063 9.8913 Ni
1.7500 0.0000 3.1442 Ni
4.2185 1.4742 4.9934 Ni
1.9929 1.4754 14.7971 Ni
1.1989 0.0000 12.2801 Ni
1.0329 0.0000 17.9576 Ni
0.4308 -1.5063 9.8913 Ni
2.6797 -1.5262 0.0215 Ni
5.1977 0.0000 1.7723 Ni
5.0187 0.0000 7.4355 Ni
4.9767 0.0000 12.8910 Ni
4.2185 -1.4742 4.9934 Ni
1.9929 -1.4754 14.7971 Ni
4.4540 0.0000 16.6416 Ni
8.7286 0.0000 8.0155 Ni
-2.7215 0.0000 13.9907 O
-0.1180 0.0000 4.0801 O
2.6705 1.4791 3.9055 O
0.5451 1.4015 13.4474 O
4.2531 1.4901 1.1476 O
1.8265 1.3079 11.1292 O
-0.3455 0.0000 11.1889 O
1.9497 0.0000 1.2083 O
1.0788 0.0000 8.9290 O
-0.7930 0.0000 18.6292 O
2.0051 1.4912 18.6046 O
4.3438 1.4402 8.6081 O
3.5843 1.4573 15.8794 O
5.6101 1.2997 6.2310 O
3.4897 0.0000 6.0182 O
1.3373 0.0000 15.9031 O
2.8122 0.0000 13.3530 O
5.0223 0.0000 3.6438 O
0.5451 -1.4015 13.4474 O
2.6705 -1.4791 3.9055 O
1.8265 -1.3079 11.1292 O
4.2531 -1.4901 1.1476 O
6.9971 0.0000 1.1664 O
5.1534 0.0000 10.9027 O
4.2754 0.0000 18.5485 O
6.8248 0.0000 8.6609 O
4.3438 -1.4402 8.6081 O
2.0051 -1.4912 18.6046 O
5.6101 -1.2997 6.2310 O
3.5843 -1.4573 15.8794 O
6.1713 0.0000 15.9698 O
8.8514 0.0000 6.1236 O
```